DFT (PBE-GGA) results for a geometry-optimized IrN structure.

The structure in extended XYZ format:
```
4
Lattice="-2.355 -0.381 1.356 0.678 -2.622 0.441 2.721 1.573 5.167" Properties=species:S:1:pos:R:3 pbc="T T T"
N 0.680 0.393 1.292
Ir 0.183 0.596 3.262
N 2.041 1.180 3.875
Ir 0.339 -1.311 0.221
```

## Properties
For the MP2020-corrected energy, the calculation gives -0.6048 Ry/atom. Its volume is 11.38 Å³/atom. The calculation puts the formation energy at 0.3582 eV per atom. Its space-group type is P4_2/mmc. As for the energy above the most stable polymorph in this dataset: 0.000 eV/atom. The value obtained for the total energy is -8.0488 eV per atom.